Entry one
## MgZnNi4O8 (PBE with a Hubbard U)

Data for a relaxed structure of MgZnNi4O8.

```
14
Lattice="2.884 0.000 0.000 -1.436 7.595 0.000 -1.437 -2.044 7.540" Properties=species:S:1:pos:R:3 pbc="T T T"
Mg 0.000 0.000 0.000
Zn -1.433 1.415 5.166
Ni 0.001 2.540 0.209
Ni 0.007 -1.171 4.854
Ni 1.445 -0.107 2.558
Ni 1.442 5.108 0.393
O -1.437 6.544 1.663
O -1.435 4.056 7.029
O 0.012 0.731 3.877
O 0.000 4.223 1.244
O 1.443 1.221 0.938
O 0.007 1.646 6.619
O 0.013 5.934 3.767
O 1.449 -0.776 6.029
```

Results
Space-group type: P1

=====

Entry two
## MgZnNi4O8 (PBE with a Hubbard U)

Data for a relaxed structure of MgZnNi4O8.

```
14
Lattice="5.105 -2.893 0.000 5.105 2.893 0.000 -3.471 0.000 4.920" Properties=species:S:1:pos:R:3 pbc="T T T"
Mg 0.000 0.000 0.000
Zn 5.105 0.000 0.000
Ni -1.736 0.000 2.460
Ni 0.817 1.447 2.460
Ni 0.817 -1.447 2.460
Ni 3.370 0.000 2.460
O 2.342 1.455 3.565
O 0.087 0.000 3.448
O 1.542 0.000 1.456
O 4.398 1.455 1.354
O 2.342 -1.455 3.565
O 5.197 0.000 3.463
O 6.652 0.000 1.472
O 4.398 -1.455 1.354
```

Results
Space-group type: C2/m

=====

The computed energies, referenced to the most stable structure and given in kJ/mol of atoms, are entry one 19.4; entry two 0.0.

=====

Entry one
## MgZnNi4O8 (PBE with a Hubbard U)

Data for a relaxed structure of MgZnNi4O8.

```
14
Lattice="2.901 0.000 0.000 -1.446 7.061 0.000 -1.442 -2.602 7.442" Properties=species:S:1:pos:R:3 pbc="T T T"
Mg 0.000 0.000 0.000
Zn 0.003 -0.460 5.117
Ni -1.453 2.610 4.871
Ni -0.001 0.314 2.585
Ni 0.002 4.798 2.558
Ni 1.451 2.620 0.456
O -1.448 5.616 1.588
O -1.442 -0.648 6.553
O -1.449 4.097 3.537
O 0.000 3.378 1.384
O -0.002 1.532 4.213
O 1.450 0.781 1.174
O -0.003 3.315 5.878
O 1.449 -0.706 3.674
```

Results
Space-group type: P1

=====

Entry two
## MgZnNi4O8 (PBE with a Hubbard U)

Data for a relaxed structure of MgZnNi4O8.

```
14
Lattice="5.180 0.000 0.000 0.021 5.784 0.000 1.621 2.883 4.849" Properties=species:S:1:pos:R:3 pbc="T T T"
Mg 0.000 0.000 0.000
Zn 5.192 2.892 0.009
Ni 3.396 5.780 2.433
Ni 2.596 1.444 0.002
Ni 4.229 7.225 4.847
Ni 3.423 2.890 2.418
O 2.684 4.321 3.752
O 2.699 7.238 3.746
O 1.884 5.786 1.005
O 1.895 2.899 1.006
O 4.930 5.772 3.843
O 4.939 2.883 3.842
O 4.123 1.430 1.104
O 4.138 4.349 1.099
```

Results
Space-group type: P1

=====

The computed energies, referenced to the most stable structure and given in kJ/mol of atoms, are entry one 14.6; entry two 0.0.

=====

Entry one
## MgZnNi4O8 (PBE with a Hubbard U)

Data for a relaxed structure of MgZnNi4O8.

```
14
Lattice="5.687 0.000 0.000 2.843 5.168 0.000 0.006 3.237 5.032" Properties=species:S:1:pos:R:3 pbc="T T T"
Mg 0.000 0.000 0.000
Zn 2.850 1.842 0.307
Ni 4.289 6.071 2.898
Ni 2.855 3.410 2.885
Ni 5.699 3.588 2.445
Ni 7.108 6.071 2.897
O 2.852 6.719 3.978
O 1.467 4.196 3.977
O 2.851 5.121 1.957
O 1.569 2.656 1.751
O 5.702 6.983 3.830
O 4.141 2.657 1.750
O 4.240 4.196 3.977
O 5.701 5.432 1.807
```

Results
Space-group type: P1

=====

Entry two
## MgZnNi4O8 (PBE with a Hubbard U)

Data for a relaxed structure of MgZnNi4O8.

```
14
Lattice="2.960 0.000 0.000 1.441 7.026 0.000 1.466 1.082 7.057" Properties=species:S:1:pos:R:3 pbc="T T T"
Mg 0.000 0.000 0.000
Zn 2.925 5.442 4.430
Ni 1.450 4.895 1.916
Ni 1.476 0.549 2.490
Ni 2.946 2.835 4.436
Ni 4.406 3.673 7.040
O 1.472 1.652 4.031
O 1.454 3.762 0.417
O 2.945 2.284 6.299
O 2.921 6.099 1.070
O 2.933 4.006 2.844
O 2.952 1.395 1.541
O 4.407 6.354 3.334
O 4.403 4.290 5.207
```

Results
Space-group type: P1

=====

The computed energies, referenced to the most stable structure and given in kJ/mol of atoms, are entry one 0.0; entry two 9.0.